! CsMg6Cr (PBE-GGA, relaxed); values from VASP
! Formation energy from the elements = 0.4775 eV per atom
! Electronic total energy = -16.33 eV/f.u.
! Energy above the most stable polymorph in this dataset = 0 meV per atom
&SYSTEM
  ibrav = 0, nat = 16, ntyp = 3
/
ATOMIC_SPECIES
Cs 132.91 Cs.upf
Cr 52.00 Cr.upf
Mg 24.30 Mg.upf
CELL_PARAMETERS angstrom
5.244 0.000 0.000
0.000 6.960 0.000
0.000 0.000 12.256
ATOMIC_POSITIONS angstrom
Cs 0.000 3.480 4.109
Cr 2.622 0.000 7.764
Cs 0.000 0.000 10.237
Mg 0.000 5.373 7.182
Mg 0.000 0.000 4.038
Mg 0.000 1.587 7.182
Mg 0.000 1.893 1.054
Mg 0.000 5.067 1.054
Cr 2.622 3.480 1.636
Mg 2.622 1.498 5.290
Mg 0.000 3.480 10.166
Mg 2.622 3.480 8.167
Mg 2.622 0.000 2.039
Mg 2.622 4.978 11.418
Mg 2.622 1.982 11.418
Mg 2.622 5.462 5.290

! TiP4Cl24 (PBE-GGA, relaxed); values from VASP
! MP2020-corrected energy = -0.140 Ha/atom
! Formation energy from the elements = -1.2522 eV per atom
! Electronic total energy = -95.49 eV/f.u.
&SYSTEM
  ibrav = 0, nat = 116, ntyp = 3
/
ATOMIC_SPECIES
Cl 35.45 Cl.upf
Ti 47.87 Ti.upf
P 30.97 P.upf
CELL_PARAMETERS angstrom
-7.841 -9.165 -8.042
-1.939 -8.894 12.027
-12.598 7.617 3.602
ATOMIC_POSITIONS angstrom
Cl -10.652 1.465 -0.461
Ti -4.742 -5.950 11.405
Ti -9.583 4.545 4.163
Cl -5.587 -8.513 6.591
P -10.821 -5.138 -3.224
Cl -17.191 -3.940 3.947
Cl -19.700 -3.184 1.196
Cl -5.320 -1.710 7.135
Cl -9.877 -1.473 11.309
Cl -13.703 -3.796 0.113
Cl -17.300 -0.648 4.539
Cl -10.985 6.332 3.494
Cl -12.718 -3.525 11.987
Cl -20.528 -7.929 7.401
Cl -6.802 -3.911 -1.976
Cl -7.085 -7.648 -1.927
Cl -12.986 -1.263 -2.855
Cl -14.090 -5.626 2.684
Cl -14.556 2.830 6.473
Cl -11.943 -1.137 9.047
Cl -8.313 -4.612 4.534
Cl -9.361 -5.316 10.727
Cl -15.056 -3.215 9.778
Cl -6.256 -11.075 9.546
Cl -15.376 -1.908 12.684
Cl -8.183 2.749 4.845
Cl -8.291 -11.675 3.817
Cl -11.700 -9.840 5.101
Cl -6.852 -8.854 -4.902
Cl -10.857 -7.585 1.925
Cl -14.556 -4.273 5.996
Cl -10.054 -3.965 14.322
Cl -9.027 -6.715 7.843
Cl -11.035 4.152 6.027
Cl -17.900 -9.583 6.672
Cl -18.167 -8.240 9.551
Cl -5.161 -2.731 4.252
Cl -6.505 -5.823 12.980
P -3.985 -1.362 5.437
Cl -17.448 -7.572 3.401
Cl -7.307 -0.331 -1.078
Ti -15.920 -2.448 5.246
Cl -13.791 -6.974 -0.209
Cl -5.461 -5.352 6.972
Cl -7.619 0.975 1.836
Cl -6.004 -7.440 10.097
Cl -2.976 -6.069 9.818
Cl -11.278 0.668 5.783
Cl -7.706 -2.205 1.461
P -13.627 -9.735 4.786
P -10.770 0.216 10.254
Cl -8.817 -3.547 8.146
Cl -10.666 -9.166 -1.394
P -14.523 -5.443 0.793
Cl -11.339 -6.009 4.838
Cl -2.649 -1.020 3.745
Cl -2.712 -3.021 6.087
P -8.696 -11.413 1.916
Cl -11.633 -5.007 8.468
Cl -14.526 -11.354 5.429
Cl -1.825 1.081 0.547
P -10.621 -0.880 4.796
Cl -5.705 -4.098 10.232
Cl -11.450 -2.540 5.392
Cl -4.212 -5.220 -3.010
Cl -5.221 -6.671 4.027
Cl -7.961 -12.933 0.898
Cl -12.770 -5.047 -3.448
P -4.793 -6.851 5.919
Ti -9.587 -6.102 3.236
P -9.709 -5.155 8.805
Cl -17.357 -2.851 7.105
Cl -17.014 -1.513 0.791
P -18.583 -8.042 7.653
Cl -8.668 -0.986 5.045
P -6.882 -0.534 0.817
Cl -16.145 -3.141 -2.576
Cl -12.376 0.302 11.722
P -7.417 -12.449 8.354
Cl -11.660 1.909 9.192
Cl -14.627 -7.105 9.292
Cl -10.846 3.053 2.859
Cl -14.499 -2.027 3.380
P -15.039 3.095 4.599
Cl -10.128 -6.634 -4.266
Cl -12.136 -8.868 8.874
Cl -14.325 -8.154 5.707
Cl -10.534 -4.259 2.058
Cl -4.394 -4.501 0.834
Cl -13.961 -9.561 2.869
Cl -11.303 -13.634 4.663
Cl -2.838 -6.944 6.153
Cl -5.250 0.288 4.790
Cl -10.407 -5.362 -1.309
Cl -7.861 -9.757 1.319
Cl -8.684 -10.786 7.694
Cl -6.093 -12.101 6.666
Cl -10.928 -1.580 -0.610
Cl -1.687 -2.816 0.395
Cl -14.341 1.612 3.534
Cl -9.999 -3.478 -3.840
Cl -17.756 -6.372 7.008
Cl -9.154 0.129 8.778
Cl -14.648 -0.967 6.556
Cl -10.998 -0.635 2.887
P -14.644 -3.437 11.694
Cl -7.838 -6.159 1.596
Cl -8.660 -7.943 4.430
Cl -13.422 0.179 -0.184
P -11.810 0.101 -1.667
Cl -4.946 -0.577 1.049
P -18.958 -1.485 0.580
Cl -15.475 -5.093 12.312
Cl -10.630 -11.395 1.670
Cl -16.447 -5.375 0.481
Cl -8.591 -13.804 7.152

! GdTa3O9 (PBE-GGA, relaxed); values from VASP
! MP2020-corrected energy = -0.394 Ha/atom
! Formation energy from the elements = -3.4806 eV per atom
! Electronic total energy = -133.25 eV/f.u.
! Energy above the most stable polymorph in this dataset = 27 meV per atom
&SYSTEM
  ibrav = 0, nat = 26, ntyp = 3
/
ATOMIC_SPECIES
O 16.00 O.upf
Gd 157.25 Gd.upf
Ta 180.95 Ta.upf
CELL_PARAMETERS angstrom
3.819 6.285 0.000
-3.819 6.285 0.000
0.000 0.515 6.534
ATOMIC_POSITIONS angstrom
O -2.187 7.716 3.564
Gd 0.000 9.686 6.181
O 1.660 7.903 6.078
O -1.603 9.027 1.422
Ta 1.898 6.841 1.542
Ta 1.898 6.245 4.992
Gd 0.000 3.399 0.353
O 0.000 6.156 4.688
O -1.603 4.058 5.112
O -1.660 5.182 0.456
O 2.187 7.716 3.564
Ta -1.909 3.400 3.267
O 1.603 4.058 5.112
Ta -1.898 6.841 1.542
O 1.603 9.027 1.422
Ta -1.898 6.245 4.992
O -2.187 5.369 2.970
O 0.000 3.613 2.720
O 2.187 5.369 2.970
Ta 1.909 3.400 3.267
O 0.000 1.026 1.242
O 1.660 5.182 0.456
O 0.000 6.929 1.846
O -1.660 7.903 6.078
O 0.000 9.472 3.815
O 0.000 12.060 5.293